[1]
Cr3CoP4O16 | PBE with a Hubbard U | relaxed

Cell: 4.7611 5.7791 9.9257 Å, 90.00 90.46 90.00°
Last column: nearest neighbours and their distance in Å.
Fractional coordinates of all 24 atoms:
Cr: 0.0000 0.0000 0.0000  6 O 1.97-2.09
Cr: 0.0542 0.5000 0.5432  6 O 1.97-2.08
Cr: 0.5534 0.0000 0.5022  6 O 1.96-2.08
Co: 0.4748 0.5000 0.0496  4 O 1.93-1.96
P: 0.1131 0.0000 0.6805  4 O 1.51-1.60
P: 0.4501 0.0000 0.1795  4 O 1.51-1.60
P: 0.6100 0.5000 0.3637  4 O 1.52-1.59
P: 0.9393 0.5000 0.8690  4 O 1.53-1.57
O: 0.2019 0.0000 0.8271  1 P 1.51
O: 0.2617 0.2058 0.6009  1 P 1.60
O: 0.2617 0.7942 0.6009  1 P 1.60
O: 0.2636 0.5000 0.8834  1 P 1.55
O: 0.2932 0.5000 0.3821  1 P 1.52
O: 0.2983 0.2053 0.0994  1 P 1.60
O: 0.2983 0.7947 0.0994  1 P 1.60
O: 0.3586 0.0000 0.3259  1 P 1.52
O: 0.6942 0.5000 0.2159  1 P 1.52
O: 0.7610 0.2944 0.4433  1 P 1.59
O: 0.7610 0.7056 0.4433  1 P 1.59
O: 0.7660 0.0000 0.1641  1 P 1.51
O: 0.7957 0.0000 0.6631  1 P 1.52
O: 0.7968 0.2920 0.9437  1 P 1.57
O: 0.7968 0.7080 0.9437  1 P 1.57
O: 0.8644 0.5000 0.7189  1 P 1.53

Computed properties:
density: 3.6 g/cm³
final energy: -0.270 hartree per atom
energy of formation: -56.0 kcal/mol of atoms
piezoelectric modulus e_max: 0.7 C/m2

[2]
CrCoP2O8 | PBE with a Hubbard U | relaxed

Cell: 4.7915 5.8026 9.9209 Å, 90.00 90.10 90.00°
Last column: nearest neighbours and their distance in Å.
Fractional coordinates of all 24 atoms:
Cr: 0.0269 0.2500 0.2714  6 O 1.97-2.11
Cr: 0.9731 0.7500 0.7286  6 O 1.97-2.11
Co: 0.4558 0.2500 0.7730  6 O 1.93-2.16
Co: 0.5442 0.7500 0.2270  6 O 1.93-2.16
P: 0.0898 0.7500 0.4060  4 O 1.52-1.58
P: 0.4230 0.7500 0.9081  4 O 1.52-1.60
P: 0.5770 0.2500 0.0919  4 O 1.52-1.60
P: 0.9102 0.2500 0.5940  4 O 1.52-1.58
O: 0.1704 0.7500 0.5545  1 P 1.52
O: 0.2282 0.2500 0.6118  1 P 1.53
O: 0.2341 0.5433 0.3285  1 P 1.58
O: 0.2341 0.9567 0.3285  1 P 1.58
O: 0.2627 0.2500 0.1087  1 P 1.52
O: 0.2740 0.5450 0.8276  1 P 1.60
O: 0.2740 0.9550 0.8276  1 P 1.60
O: 0.3348 0.7500 0.0553  1 P 1.52
O: 0.6652 0.2500 0.9447  1 P 1.52
O: 0.7260 0.0450 0.1724  1 P 1.60
O: 0.7260 0.4550 0.1724  1 P 1.60
O: 0.7373 0.7500 0.8913  1 P 1.52
O: 0.7659 0.0433 0.6715  1 P 1.58
O: 0.7659 0.4567 0.6715  1 P 1.58
O: 0.7718 0.7500 0.3882  1 P 1.53
O: 0.8296 0.2500 0.4455  1 P 1.52

Computed properties:
density: 3.6 g/cm³
final energy: -0.262 hartree per atom
energy of formation: -52.6 kcal/mol of atoms